Compound: Li5Ti2Fe5O12
Source: the Materials Project
Functional: PBE+U
Structure: optimized geometry

Cell: 5.2568 5.2568 10.0303 Å, 95.61 95.61 121.16°
Atoms (fractional coordinates):
1 Li 0.0000 0.0000 0.0000
2 Li 0.2453 0.2505 0.7536
3 Li 0.4069 0.0875 0.2448
4 Li 0.7495 0.7547 0.2464
5 Li 0.9125 0.5931 0.7552
6 Ti 0.3318 0.6682 0.0000
7 Ti 0.8260 0.1740 0.5000
8 Fe 0.0834 0.4156 0.2481
9 Fe 0.1570 0.8430 0.5000
10 Fe 0.4988 0.5012 0.5000
11 Fe 0.5844 0.9166 0.7519
12 Fe 0.6607 0.3393 0.0000
13 O 0.0488 0.6951 0.1142
14 O 0.0865 0.1204 0.3798
15 O 0.1964 0.5397 0.6179
16 O 0.3049 0.9512 0.8858
17 O 0.3869 0.4032 0.1138
18 O 0.4603 0.8036 0.3821
19 O 0.5704 0.2210 0.6185
20 O 0.5968 0.6131 0.8862
21 O 0.6842 0.0415 0.1144
22 O 0.7790 0.4296 0.3815
23 O 0.8796 0.9135 0.6202
24 O 0.9585 0.3158 0.8856

Computed properties:
- M_tot: 0.875 μB per atom
- E: -162.263 eV per cell



Compound: Li3TiFe3O8
Source: the Materials Project
Functional: PBE+U
Structure: optimized geometry

Cell: 5.6194 6.6084 10.2600 Å, 89.93 89.99 89.93°
Atoms (fractional coordinates):
1 Li 0.0000 0.0000 0.0000
2 Li 0.0006 0.0018 0.5043
3 Li 0.1750 0.7567 0.2532
4 Li 0.5114 0.2611 0.4997
5 Li 0.5122 0.2598 0.0038
6 Li 0.6664 0.5131 0.7526
7 Ti 0.1662 0.2578 0.7494
8 Ti 0.1691 0.2589 0.2490
9 Fe 0.4997 0.7565 0.4994
10 Fe 0.5006 0.7557 0.0002
11 Fe 0.6666 0.0061 0.2490
12 Fe 0.6682 0.0059 0.7490
13 Fe 0.9973 0.5156 0.5009
14 Fe 0.9980 0.5157 0.9997
15 O 0.0127 0.4767 0.8142
16 O 0.0440 0.4892 0.3161
17 O 0.1532 0.2715 0.5683
18 O 0.1580 0.2729 0.0678
19 O 0.1690 0.7507 0.5377
20 O 0.1716 0.7481 0.0552
21 O 0.4730 0.2283 0.3059
22 O 0.4826 0.2426 0.8019
23 O 0.5064 0.7820 0.3144
24 O 0.5403 0.7686 0.8158
25 O 0.6575 0.9980 0.0623
26 O 0.6581 0.9986 0.5623
27 O 0.6728 0.5144 0.0376
28 O 0.6731 0.5175 0.5548
29 O 0.9892 0.0451 0.8062
30 O 0.9955 0.0324 0.3015

Computed properties:
- M_tot: 1.000 μB per atom
- E above lowest polymorph: 38 meV per atom



Compound: Li6TiFe5O12
Source: the Materials Project
Functional: PBE+U
Structure: optimized geometry

Cell: 5.1630 5.1630 10.1967 Å, 94.08 94.08 120.03°
Atoms (fractional coordinates):
1 Li 0.1142 0.1142 0.2549
2 Li 0.2082 0.5610 0.7432
3 Li 0.4390 0.7918 0.2568
4 Li 0.5481 0.2232 0.7418
5 Li 0.7768 0.4519 0.2582
6 Li 0.8858 0.8858 0.7451
7 Ti 0.4921 0.5079 0.5000
8 Fe 0.1635 0.8365 0.5000
9 Fe 0.3297 0.6703 0.0000
10 Fe 0.6626 0.3374 0.0000
11 Fe 0.8317 0.1683 0.5000
12 Fe 0.9960 0.0040 0.0000
13 O 0.0334 0.7059 0.1148
14 O 0.1356 0.4518 0.3859
15 O 0.2054 0.2320 0.6131
16 O 0.2941 0.9666 0.8852
17 O 0.3622 0.3714 0.1121
18 O 0.4723 0.1549 0.3899
19 O 0.5482 0.8644 0.6141
20 O 0.6286 0.6378 0.8879
21 O 0.6982 0.0387 0.1133
22 O 0.7680 0.7946 0.3869
23 O 0.8451 0.5277 0.6101
24 O 0.9613 0.3018 0.8867

Computed properties:
- M_tot: 1.000 μB per atom
- E above lowest polymorph: 0 meV per atom



Compound: Li4Ti4Fe5O18
Source: the Materials Project
Functional: PBE+U
Structure: optimized geometry

Cell: 2.9405 9.2697 25.1125 Å, 90.30 90.14 90.33°
Atoms (fractional coordinates):
1 Li 0.0000 0.0000 0.0000
2 Li 0.0001 0.0071 0.1976
3 Li 0.9998 0.1158 0.4984
4 Li 0.9999 0.6032 0.1678
5 Li 0.0028 0.1052 0.6870
6 Li 0.9940 0.6072 0.3602
7 Li 0.9973 0.4991 0.6706
8 Li 0.9985 0.4967 0.8611
9 Ti 0.4967 0.9676 0.3732
10 Ti 0.4982 0.1375 0.8696
11 Ti 0.4983 0.6441 0.9882
12 Ti 0.4999 0.4745 0.4920
13 Ti 0.9958 0.8095 0.2806
14 Ti 0.9989 0.2962 0.7793
15 Ti 0.9990 0.3133 0.5827
16 Ti 0.9985 0.8009 0.0816
17 Fe 0.9995 0.8170 0.4922
18 Fe 0.0019 0.3120 0.3751
19 Fe 0.0136 0.3053 0.1816
20 Fe 0.4926 0.4605 0.2652
21 Fe 0.4986 0.6452 0.7657
22 Fe 0.4994 0.9637 0.5945
23 Fe 0.5038 0.1522 0.0961
24 Fe 0.9980 0.2992 0.9864
25 Fe 0.9992 0.7935 0.8683
26 Fe 0.9993 0.8057 0.6775
27 O 0.0000 0.1152 0.6014
28 O 0.9996 0.1887 0.9187
29 O 0.0014 0.4984 0.5413
30 O 0.0019 0.9995 0.1000
31 O 0.0032 0.5056 0.7629
32 O 0.0064 0.2948 0.1059
33 O 0.0281 0.3179 0.2565
34 O 0.4870 0.7651 0.3361
35 O 0.4889 0.8730 0.2368
36 O 0.4982 0.1717 0.0159
37 O 0.4977 0.2453 0.7353
38 O 0.4977 0.2714 0.5263
39 O 0.4978 0.6522 0.6888
40 O 0.4993 0.1715 0.3896
41 O 0.4986 0.4378 0.9718
42 O 0.4985 0.6778 0.4786
43 O 0.4996 0.6571 0.8430
44 O 0.5001 0.7356 0.1239
45 O 0.5000 0.9335 0.8816
46 O 0.5004 0.9524 0.6785
47 O 0.5004 0.9547 0.5149
48 O 0.5012 0.3747 0.6266
49 O 0.5019 0.3405 0.8356
50 O 0.5022 0.8446 0.0246
51 O 0.5026 0.4367 0.3439
52 O 0.5094 0.1657 0.1794
53 O 0.5108 0.4460 0.1841
54 O 0.9728 0.6091 0.2618
55 O 0.9938 0.9939 0.3228
56 O 0.9955 0.7794 0.7652
57 O 0.9959 0.9114 0.4210
58 O 0.9973 0.1141 0.8186
59 O 0.9977 0.8178 0.5985
60 O 0.9989 0.4225 0.4415
61 O 0.9989 0.6163 0.0372
62 O 0.9993 0.6971 0.9383

Computed properties:
- M_tot: 0.742 μB per atom
- E: -444.098 eV per cell



Compound: Li4Ti5Fe3O16
Source: the Materials Project
Functional: PBE+U
Structure: optimized geometry

Cell: 5.9849 5.9849 9.6289 Å, 90.07 90.07 59.50°
Atoms (fractional coordinates):
1 Li 0.0000 0.0000 0.0000
2 Li 0.0037 0.0037 0.5003
3 Li 0.3412 0.3412 0.5958
4 Li 0.6705 0.6705 0.0946
5 Ti 0.1628 0.6541 0.2726
6 Ti 0.3362 0.3362 0.9934
7 Ti 0.6541 0.1628 0.2726
8 Ti 0.6560 0.6560 0.4957
9 Ti 0.8266 0.8266 0.7639
10 Fe 0.1737 0.1737 0.2823
11 Fe 0.3430 0.8309 0.7831
12 Fe 0.8309 0.3430 0.7831
13 O 0.0000 0.0000 0.6892
14 O 0.0449 0.4985 0.1469
15 O 0.1714 0.1714 0.9025
16 O 0.1759 0.6628 0.8985
17 O 0.3408 0.8226 0.4027
18 O 0.3493 0.3493 0.3899
19 O 0.4843 0.4843 0.1575
20 O 0.4985 0.0449 0.1469
21 O 0.5273 0.5273 0.6505
22 O 0.5271 0.9701 0.6541
23 O 0.6628 0.1759 0.8985
24 O 0.6779 0.6779 0.8892
25 O 0.8226 0.3408 0.4027
26 O 0.8336 0.8336 0.3941
27 O 0.9701 0.5271 0.6541
28 O 0.9948 0.9948 0.1884

Computed properties:
- M_tot: 0.500 μB per atom
- E: -212.018 eV per cell



Compound: Li2TiFe2O6
Source: the Materials Project
Functional: PBE+U
Structure: optimized geometry

Cell: 7.9494 7.9494 6.0447 Å, 101.31 101.31 68.48°
Atoms (fractional coordinates):
1 Li 0.1641 0.5002 0.6704
2 Li 0.1706 0.8294 0.0000
3 Li 0.5002 0.1641 0.6704
4 Li 0.4998 0.8359 0.3296
5 Li 0.8294 0.1706 0.0000
6 Li 0.8359 0.4998 0.3296
7 Ti 0.1670 0.8330 0.5000
8 Ti 0.5000 0.5000 0.5000
9 Ti 0.8330 0.1670 0.5000
10 Fe 0.1648 0.4921 0.1635
11 Fe 0.1665 0.1665 0.8370
12 Fe 0.4921 0.1648 0.1635
13 Fe 0.5079 0.8352 0.8365
14 Fe 0.8335 0.8335 0.1630
15 Fe 0.8352 0.5079 0.8365
16 O 0.0046 0.6580 0.9371
17 O 0.0078 0.0078 0.7272
18 O 0.0174 0.6708 0.4013
19 O 0.3218 0.3218 0.9265
20 O 0.3293 0.6698 0.2818
21 O 0.3292 0.9826 0.5987
22 O 0.3302 0.6707 0.7183
23 O 0.3420 0.9954 0.0629
24 O 0.3479 0.3479 0.4067
25 O 0.6521 0.6521 0.5933
26 O 0.6580 0.0046 0.9371
27 O 0.6698 0.3293 0.2818
28 O 0.6708 0.0174 0.4013
29 O 0.6707 0.3302 0.7183
30 O 0.6782 0.6782 0.0735
31 O 0.9826 0.3292 0.5987
32 O 0.9922 0.9922 0.2728
33 O 0.9954 0.3420 0.0629

Computed properties:
- M_tot: 0.909 μB per atom
- E: -225.793 eV per cell